Entry 1:
First-principles (r2SCAN) data for a geometry-optimized HfB2 structure, as listed in Materials Project.

Unit cell a=3.1327 b=3.1327 c=3.4792 alpha=90.00 beta=90.00 gamma=120.00
Fractional coordinates of all 3 atoms:
Hf (0.0000, 0.0000, 0.0000)
B (0.3333, 0.6667, 0.5000)
B (0.6667, 0.3333, 0.5000)

Properties
Total magnetic moment in μB/atom: 0.00
Space-group type: P6/mmm, No. 191
Electronic total energy in eV/atom: -21.03


Entry 2:
First-principles (r2SCAN) data for a geometry-optimized YbGa2Ag structure, as listed in Materials Project.

Unit cell a=6.8514 b=4.2627 c=10.0764 alpha=90.00 beta=90.00 gamma=90.00
Fractional coordinates of all 16 atoms:
Yb (0.2235, 0.2500, 0.1763)
Yb (0.2765, 0.7500, 0.6763)
Yb (0.7235, 0.2500, 0.3237)
Yb (0.7765, 0.7500, 0.8237)
Ga (0.0685, 0.2500, 0.8443)
Ga (0.2002, 0.7500, 0.9652)
Ga (0.2998, 0.2500, 0.4652)
Ga (0.4315, 0.7500, 0.3443)
Ga (0.5685, 0.2500, 0.6557)
Ga (0.7002, 0.7500, 0.5349)
Ga (0.7998, 0.2500, 0.0348)
Ga (0.9315, 0.7500, 0.1557)
Ag (0.0480, 0.7500, 0.4049)
Ag (0.4520, 0.2500, 0.9049)
Ag (0.5480, 0.7500, 0.0951)
Ag (0.9520, 0.2500, 0.5951)

Properties
Total magnetic moment in μB/atom: 0.00
Space-group type: Pnma, No. 62
Electronic total energy in eV/atom: -20.72


Entry 3:
First-principles (r2SCAN) data for a geometry-optimized BaAl9Ni2 structure, as listed in Materials Project.

Unit cell a=7.9068 b=7.9068 c=3.9599 alpha=90.00 beta=90.00 gamma=120.00
Fractional coordinates of all 12 atoms:
Ba (0.0000, 0.0000, 0.0000)
Al (0.0000, 0.5000, 0.0000)
Al (0.2148, 0.4297, 0.5000)
Al (0.2148, 0.7852, 0.5000)
Al (0.4297, 0.2148, 0.5000)
Al (0.5000, 0.0000, 0.0000)
Al (0.5000, 0.5000, 0.0000)
Al (0.5703, 0.7852, 0.5000)
Al (0.7852, 0.2148, 0.5000)
Al (0.7852, 0.5703, 0.5000)
Ni (0.3333, 0.6667, 0.0000)
Ni (0.6667, 0.3333, 0.0000)

Properties
Total magnetic moment in μB/atom: 0.00
Space-group type: P6/mmm, No. 191
Electronic total energy in eV/atom: -9.64


Entry 4:
First-principles (r2SCAN) data for a geometry-optimized Y6MnSi2S14 structure, as listed in Materials Project.

Unit cell a=9.8778 b=9.8778 c=5.6566 alpha=90.00 beta=90.00 gamma=120.00
Fractional coordinates of all 23 atoms:
Y (0.0245, 0.4604, 0.0000)
Y (0.3099, 0.2065, 0.5050)
Y (0.4359, 0.9755, 0.0000)
Y (0.5396, 0.5641, 0.0000)
Y (0.7935, 0.1033, 0.5050)
Y (0.8967, 0.6901, 0.5050)
Mn (0.6667, 0.3333, 0.2281)
Si (0.0000, 0.0000, 0.0942)
Si (0.3333, 0.6667, 0.5867)
S (0.0000, 0.0000, 0.7241)
S (0.0806, 0.2259, 0.2425)
S (0.1453, 0.9194, 0.2425)
S (0.1881, 0.7471, 0.7363)
S (0.2529, 0.4410, 0.7363)
S (0.3333, 0.6667, 0.2173)
S (0.4169, 0.2446, 0.9820)
S (0.5079, 0.0838, 0.4662)
S (0.5590, 0.8119, 0.7363)
S (0.5759, 0.4921, 0.4662)
S (0.7554, 0.1723, 0.9820)
S (0.7741, 0.8547, 0.2425)
S (0.8277, 0.5831, 0.9820)
S (0.9162, 0.4241, 0.4662)

Properties
Total magnetic moment in μB/atom: 0.22
Space-group type: P3, No. 143
Electronic total energy in eV/atom: -13.46


Entry 5:
First-principles (r2SCAN) data for a geometry-optimized Rh17S15 structure, as listed in Materials Project.

Unit cell a=9.9459 b=9.9459 c=9.9459 alpha=90.00 beta=90.00 gamma=90.00
Fractional coordinates of all 64 atoms:
Rh (0.0000, 0.0000, 0.0000)
Rh (0.0000, 0.5000, 0.5000)
Rh (0.1430, 0.1430, 0.3576)
Rh (0.1430, 0.1430, 0.6424)
Rh (0.1430, 0.3576, 0.1430)
Rh (0.1430, 0.3576, 0.8570)
Rh (0.1430, 0.6424, 0.1430)
Rh (0.1430, 0.6424, 0.8570)
Rh (0.1430, 0.8570, 0.3576)
Rh (0.1430, 0.8570, 0.6424)
Rh (0.2605, 0.5000, 0.5000)
Rh (0.3576, 0.1430, 0.1430)
Rh (0.3576, 0.1430, 0.8570)
Rh (0.3576, 0.8570, 0.1430)
Rh (0.3576, 0.8570, 0.8570)
Rh (0.5000, 0.0000, 0.5000)
Rh (0.5000, 0.2605, 0.5000)
Rh (0.5000, 0.5000, 0.0000)
Rh (0.5000, 0.5000, 0.2605)
Rh (0.5000, 0.5000, 0.7395)
Rh (0.5000, 0.7395, 0.5000)
Rh (0.6424, 0.1430, 0.1430)
Rh (0.6424, 0.1430, 0.8570)
Rh (0.6424, 0.8570, 0.1430)
Rh (0.6424, 0.8570, 0.8570)
Rh (0.7395, 0.5000, 0.5000)
Rh (0.8570, 0.1430, 0.3576)
Rh (0.8570, 0.1430, 0.6424)
Rh (0.8570, 0.3576, 0.1430)
Rh (0.8570, 0.3576, 0.8570)
Rh (0.8570, 0.6424, 0.1430)
Rh (0.8570, 0.6424, 0.8570)
Rh (0.8570, 0.8570, 0.3576)
Rh (0.8570, 0.8570, 0.6424)
S (0.0000, 0.0000, 0.2372)
S (0.0000, 0.0000, 0.7628)
S (0.0000, 0.2372, 0.0000)
S (0.0000, 0.3301, 0.3301)
S (0.0000, 0.3301, 0.6699)
S (0.0000, 0.6699, 0.3301)
S (0.0000, 0.6699, 0.6699)
S (0.0000, 0.7628, 0.0000)
S (0.2372, 0.0000, 0.0000)
S (0.2705, 0.2705, 0.5000)
S (0.2705, 0.5000, 0.2705)
S (0.2705, 0.5000, 0.7295)
S (0.2705, 0.7295, 0.5000)
S (0.3301, 0.0000, 0.3301)
S (0.3301, 0.0000, 0.6699)
S (0.3301, 0.3301, 0.0000)
S (0.3301, 0.6699, 0.0000)
S (0.5000, 0.2705, 0.2705)
S (0.5000, 0.2705, 0.7295)
S (0.5000, 0.7295, 0.2705)
S (0.5000, 0.7295, 0.7295)
S (0.6699, 0.0000, 0.3301)
S (0.6699, 0.0000, 0.6699)
S (0.6699, 0.3301, 0.0000)
S (0.6699, 0.6699, 0.0000)
S (0.7295, 0.2705, 0.5000)
S (0.7295, 0.5000, 0.2705)
S (0.7295, 0.5000, 0.7295)
S (0.7295, 0.7295, 0.5000)
S (0.7628, 0.0000, 0.0000)

Properties
Total magnetic moment in μB/atom: 0.00
Space-group type: Pm-3m, No. 221
Electronic total energy in eV/atom: -17.13


Entry 6:
First-principles (r2SCAN) data for a geometry-optimized Zr3NbCr4F24 structure, as listed in Materials Project.

Unit cell a=5.8378 b=8.0541 c=11.6293 alpha=90.00 beta=90.03 gamma=90.00
Fractional coordinates of all 32 atoms:
Zr (0.0000, 0.0000, 0.0000)
Zr (0.0477, 0.0000, 0.5005)
Zr (0.5461, 0.5000, 0.2517)
Nb (0.5046, 0.5000, 0.7524)
Cr (0.0197, 0.5000, 0.9994)
Cr (0.0258, 0.5000, 0.5036)
Cr (0.5222, 0.0000, 0.7502)
Cr (0.5263, 0.0000, 0.2503)
F (0.0049, 0.2525, 0.9997)
F (0.0049, 0.7475, 0.9997)
F (0.0402, 0.2524, 0.5008)
F (0.0402, 0.7476, 0.5008)
F (0.2271, 0.0000, 0.1260)
F (0.2277, 0.0000, 0.8756)
F (0.2404, 0.5000, 0.8701)
F (0.2414, 0.5000, 0.6345)
F (0.3046, 0.0000, 0.3802)
F (0.3065, 0.0000, 0.6181)
F (0.3145, 0.5000, 0.1270)
F (0.3164, 0.5000, 0.3764)
F (0.5094, 0.2465, 0.7524)
F (0.5094, 0.7535, 0.7524)
F (0.5420, 0.2488, 0.2518)
F (0.5420, 0.7512, 0.2518)
F (0.7050, 0.5000, 0.8880)
F (0.7090, 0.5000, 0.6185)
F (0.7423, 0.0000, 0.1191)
F (0.7423, 0.0000, 0.8811)
F (0.8041, 0.5000, 0.1325)
F (0.8043, 0.5000, 0.3721)
F (0.8204, 0.0000, 0.6257)
F (0.8207, 0.0000, 0.3751)

Properties
Total magnetic moment in μB/atom: 0.53
Space-group type: Pm, No. 6
Electronic total energy in eV/atom: -10.48


Entry 7:
First-principles (r2SCAN) data for a geometry-optimized BaLu2S4 structure, as listed in Materials Project.

Unit cell a=12.1668 b=3.9590 c=14.2868 alpha=90.00 beta=90.00 gamma=90.00
Fractional coordinates of all 28 atoms:
Ba (0.2417, 0.2500, 0.1627)
Ba (0.2583, 0.7500, 0.6627)
Ba (0.7417, 0.2500, 0.3373)
Ba (0.7583, 0.7500, 0.8373)
Lu (0.0649, 0.2500, 0.3914)
Lu (0.0785, 0.2500, 0.8990)
Lu (0.4215, 0.7500, 0.3990)
Lu (0.4351, 0.7500, 0.8914)
Lu (0.5649, 0.2500, 0.1086)
Lu (0.5785, 0.2500, 0.6010)
Lu (0.9215, 0.7500, 0.1010)
Lu (0.9351, 0.7500, 0.6086)
S (0.0233, 0.7500, 0.7832)
S (0.0800, 0.2500, 0.5755)
S (0.1207, 0.7500, 0.0223)
S (0.2066, 0.7500, 0.3434)
S (0.2934, 0.2500, 0.8434)
S (0.3793, 0.2500, 0.5223)
S (0.4200, 0.7500, 0.0755)
S (0.4767, 0.2500, 0.2832)
S (0.5233, 0.7500, 0.7168)
S (0.5800, 0.2500, 0.9245)
S (0.6207, 0.7500, 0.4777)
S (0.7066, 0.7500, 0.1566)
S (0.7934, 0.2500, 0.6566)
S (0.8793, 0.2500, 0.9777)
S (0.9200, 0.7500, 0.4245)
S (0.9767, 0.2500, 0.2168)

Properties
Total magnetic moment in μB/atom: 0.00
Space-group type: Pnma, No. 62
Electronic total energy in eV/atom: -21.69


Entry 8:
First-principles (r2SCAN) data for a geometry-optimized Yb5Mg structure, as listed in Materials Project.

Unit cell a=6.4897 b=6.4897 c=6.4897 alpha=54.94 beta=54.94 gamma=54.94
Fractional coordinates of all 6 atoms:
Yb (0.0000, 0.6623, 0.3377)
Yb (0.1669, 0.1669, 0.1669)
Yb (0.3377, 0.0000, 0.6623)
Yb (0.6623, 0.3377, 0.0000)
Yb (0.8331, 0.8331, 0.8331)
Mg (0.5000, 0.5000, 0.5000)

Properties
Total magnetic moment in μB/atom: 0.00
Space-group type: R32, No. 155
Electronic total energy in eV/atom: -31.11
Energy above the lowest structure with this stoichiometry in eV/f.u.: 0.232


Entry 9:
First-principles (r2SCAN) data for a geometry-optimized V2Ni21B6 structure, as listed in Materials Project.

Unit cell a=7.3149 b=7.3149 c=7.3149 alpha=60.00 beta=60.00 gamma=60.00
Fractional coordinates of all 29 atoms:
V (0.2500, 0.2500, 0.2500)
V (0.7500, 0.7500, 0.7500)
Ni (0.0000, 0.0000, 0.0000)
Ni (0.0000, 0.0000, 0.3404)
Ni (0.0000, 0.0000, 0.6596)
Ni (0.0000, 0.3404, 0.0000)
Ni (0.0000, 0.3404, 0.6596)
Ni (0.0000, 0.6596, 0.0000)
Ni (0.0000, 0.6596, 0.3404)
Ni (0.1442, 0.6186, 0.6186)
Ni (0.3404, 0.0000, 0.0000)
Ni (0.3404, 0.0000, 0.6596)
Ni (0.3404, 0.6596, 0.0000)
Ni (0.3814, 0.3814, 0.3814)
Ni (0.3814, 0.3814, 0.8558)
Ni (0.3814, 0.8558, 0.3814)
Ni (0.6186, 0.1442, 0.6186)
Ni (0.6186, 0.6186, 0.1442)
Ni (0.6186, 0.6186, 0.6186)
Ni (0.6596, 0.0000, 0.0000)
Ni (0.6596, 0.0000, 0.3404)
Ni (0.6596, 0.3404, 0.0000)
Ni (0.8558, 0.3814, 0.3814)
B (0.2691, 0.2691, 0.7309)
B (0.2691, 0.7309, 0.2691)
B (0.2691, 0.7309, 0.7309)
B (0.7309, 0.2691, 0.2691)
B (0.7309, 0.2691, 0.7309)
B (0.7309, 0.7309, 0.2691)

Properties
Total magnetic moment in μB/atom: 0.00
Space-group type: Fm-3m, No. 225
Electronic total energy in eV/atom: -11.43


Entry 10:
First-principles (r2SCAN) data for a geometry-optimized BaSi2Rh2 structure, as listed in Materials Project.

Unit cell a=7.9254 b=6.7347 c=7.7016 alpha=90.00 beta=91.29 gamma=90.00
Fractional coordinates of all 20 atoms:
Ba (0.2365, 0.1162, 0.4963)
Ba (0.2365, 0.3838, 0.9963)
Ba (0.7635, 0.6162, 0.0037)
Ba (0.7635, 0.8838, 0.5037)
Si (0.0751, 0.5786, 0.3731)
Si (0.0751, 0.9214, 0.8731)
Si (0.4352, 0.6502, 0.6846)
Si (0.4352, 0.8498, 0.1846)
Si (0.5648, 0.1502, 0.8154)
Si (0.5648, 0.3498, 0.3154)
Si (0.9249, 0.0786, 0.1269)
Si (0.9249, 0.4214, 0.6269)
Rh (0.1385, 0.6676, 0.6715)
Rh (0.1385, 0.8324, 0.1715)
Rh (0.3789, 0.6036, 0.3860)
Rh (0.3789, 0.8964, 0.8860)
Rh (0.6211, 0.1036, 0.1140)
Rh (0.6211, 0.3964, 0.6140)
Rh (0.8615, 0.1676, 0.8285)
Rh (0.8615, 0.3324, 0.3285)

Properties
Total magnetic moment in μB/atom: 0.00
Space-group type: P2_1/c, No. 14
Electronic total energy in eV/atom: -19.39


Entry 11:
First-principles (r2SCAN) data for a geometry-optimized Mg3BO3F3 structure, as listed in Materials Project.

Unit cell a=8.7939 b=8.7939 c=3.0887 alpha=90.00 beta=90.00 gamma=120.00
Fractional coordinates of all 20 atoms:
Mg (0.0305, 0.6634, 0.2500)
Mg (0.3366, 0.3671, 0.2500)
Mg (0.3671, 0.0305, 0.7500)
Mg (0.6329, 0.9695, 0.2500)
Mg (0.6634, 0.6329, 0.7500)
Mg (0.9695, 0.3366, 0.7500)
B (0.3333, 0.6667, 0.7500)
B (0.6667, 0.3333, 0.2500)
O (0.1541, 0.6039, 0.7500)
O (0.3961, 0.5502, 0.7500)
O (0.4498, 0.8459, 0.7500)
O (0.5502, 0.1541, 0.2500)
O (0.6039, 0.4498, 0.2500)
O (0.8459, 0.3961, 0.2500)
F (0.0896, 0.3000, 0.2500)
F (0.2104, 0.9104, 0.2500)
F (0.3000, 0.2104, 0.7500)
F (0.7000, 0.7896, 0.2500)
F (0.7896, 0.0896, 0.7500)
F (0.9104, 0.7000, 0.7500)

Properties
Total magnetic moment in μB/atom: 0.00
Space-group type: P6_3/m, No. 176
Electronic total energy in eV/atom: -8.06


Entry 12:
First-principles (r2SCAN) data for a geometry-optimized Rb2S2O7 structure, as listed in Materials Project.

Unit cell a=7.3451 b=7.3451 c=7.5831 alpha=93.62 beta=93.62 gamma=61.73
Fractional coordinates of all 22 atoms:
Rb (0.0022, 0.7075, 0.6482)
Rb (0.2925, 0.9978, 0.8518)
Rb (0.7075, 0.0022, 0.1482)
Rb (0.9978, 0.2925, 0.3518)
S (0.2205, 0.5768, 0.1449)
S (0.4232, 0.7795, 0.3551)
S (0.5768, 0.2205, 0.6449)
S (0.7795, 0.4232, 0.8551)
O (0.0655, 0.6384, 0.2766)
O (0.1591, 0.7251, 0.0077)
O (0.2749, 0.8409, 0.4923)
O (0.3038, 0.3641, 0.0838)
O (0.3616, 0.9345, 0.2234)
O (0.3641, 0.3038, 0.5838)
O (0.4251, 0.5749, 0.2500)
O (0.5749, 0.4251, 0.7500)
O (0.6359, 0.6962, 0.4162)
O (0.6384, 0.0655, 0.7766)
O (0.6962, 0.6359, 0.9162)
O (0.7251, 0.1591, 0.5077)
O (0.8409, 0.2749, 0.9923)
O (0.9345, 0.3616, 0.7234)

Properties
Total magnetic moment in μB/atom: 0.00
Space-group type: C2/c, No. 15
Electronic total energy in eV/atom: -9.61


Entry 13:
First-principles (r2SCAN) data for a geometry-optimized KCuF3 structure, as listed in Materials Project.

Unit cell a=5.6804 b=5.6804 c=5.6804 alpha=118.58 beta=118.58 gamma=92.48
Fractional coordinates of all 10 atoms:
K (0.2500, 0.2500, 0.0000)
K (0.7500, 0.7500, 0.0000)
Cu (0.0000, 0.5000, 0.5000)
Cu (0.5000, 0.0000, 0.5000)
F (0.2289, 0.7289, 0.9578)
F (0.2500, 0.7500, 0.5000)
F (0.2711, 0.2289, 0.5000)
F (0.7289, 0.7711, 0.5000)
F (0.7500, 0.2500, 0.5000)
F (0.7711, 0.2711, 0.0422)

Properties
Total magnetic moment in μB/atom: 0.00
Space-group type: I4/mcm, No. 140
Electronic total energy in eV/atom: -7.62


Entry 14:
First-principles (r2SCAN) data for a geometry-optimized SmTlZn structure, as listed in Materials Project.

Unit cell a=4.6783 b=4.6783 c=7.5726 alpha=90.00 beta=90.00 gamma=120.00
Fractional coordinates of all 6 atoms:
Sm (0.0000, 0.0000, 0.0000)
Sm (0.0000, 0.0000, 0.5000)
Tl (0.3333, 0.6667, 0.2500)
Tl (0.6667, 0.3333, 0.7500)
Zn (0.3333, 0.6667, 0.7500)
Zn (0.6667, 0.3333, 0.2500)

Properties
Total magnetic moment in μB/atom: 0.00
Space-group type: P6_3/mmc, No. 194
Electronic total energy in eV/atom: -31.04


Entry 15:
First-principles (r2SCAN) data for a geometry-optimized LiNdHg2 structure, as listed in Materials Project.

Unit cell a=7.2295 b=7.2295 c=7.2295 alpha=90.00 beta=90.00 gamma=90.00
Fractional coordinates of all 16 atoms:
Li (0.0000, 0.0000, 0.0000)
Li (0.0000, 0.5000, 0.5000)
Li (0.5000, 0.0000, 0.5000)
Li (0.5000, 0.5000, 0.0000)
Nd (0.0000, 0.0000, 0.5000)
Nd (0.0000, 0.5000, 0.0000)
Nd (0.5000, 0.0000, 0.0000)
Nd (0.5000, 0.5000, 0.5000)
Hg (0.2500, 0.2500, 0.2500)
Hg (0.2500, 0.2500, 0.7500)
Hg (0.2500, 0.7500, 0.2500)
Hg (0.2500, 0.7500, 0.7500)
Hg (0.7500, 0.2500, 0.2500)
Hg (0.7500, 0.2500, 0.7500)
Hg (0.7500, 0.7500, 0.2500)
Hg (0.7500, 0.7500, 0.7500)

Properties
Total magnetic moment in μB/atom: 0.00
Space-group type: Fm-3m, No. 225
Electronic total energy in eV/atom: -33.15


Entry 16:
First-principles (r2SCAN) data for a geometry-optimized Al2Zn structure, as listed in Materials Project.

Unit cell a=2.8013 b=2.8013 c=6.8219 alpha=90.00 beta=90.00 gamma=120.00
Fractional coordinates of all 3 atoms:
Al (0.3333, 0.6667, 0.3315)
Al (0.6667, 0.3333, 0.6685)
Zn (0.0000, 0.0000, 0.0000)

Properties
Total magnetic moment in μB/atom: 0.00
Space-group type: P-3m1, No. 164
Electronic total energy in eV/atom: -7.43